No. 1
Below is a geometry-optimized KHg6 structure, with properties calculated at the GGA-PBE level.

Values from the calculation:
As for the symmetry: Pnma (62). Its total energy is -0.572 eV per atom.

Cell lengths 5.7200, 10.9512, 14.0626 Å; angles 90.00, 90.00, 90.00 degrees
With the nearest neighbours (Å) after each atom.
Positions (direct):
Hg1 0.2500 0.0975 0.1357  5 Hg 3.02-3.28
Hg2 0.2500 0.1451 0.5442  3 Hg 3.10-3.19
Hg3 0.2500 0.6300 0.0975  5 Hg 2.99-3.30
Hg4 0.7500 0.3768 0.4928  3 Hg 2.99-3.05
Hg5 0.7500 0.2759 0.6946  5 Hg 3.05-3.28
Hg6 0.2500 0.8768 0.0072  3 Hg 2.99-3.05
Hg7 0.7500 0.5975 0.3643  5 Hg 3.02-3.28
Hg8 0.7500 0.9025 0.8643  5 Hg 3.02-3.28
Hg9 0.7500 0.8549 0.4558  3 Hg 3.10-3.19
Hg10 0.2500 0.6232 0.5072  3 Hg 2.99-3.05
Hg11 0.7500 0.4978 0.1517  5 Hg 3.06-3.30
Hg12 0.7500 0.1232 0.9928  3 Hg 2.99-3.05
Hg13 0.7500 0.2241 0.1946  5 Hg 3.05-3.28
Hg14 0.7500 0.6451 0.9558  3 Hg 3.10-3.19
Hg15 0.7500 0.3700 0.9025  5 Hg 2.99-3.30
Hg16 0.2500 0.4025 0.6357  5 Hg 3.02-3.28
Hg17 0.7500 0.1300 0.4025  5 Hg 2.99-3.30
Hg18 0.2500 0.5022 0.8483  5 Hg 3.06-3.30
Hg19 0.2500 0.7759 0.8054  5 Hg 3.05-3.28
Hg20 0.2500 0.3549 0.0442  3 Hg 3.10-3.19
Hg21 0.2500 0.8700 0.5975  5 Hg 2.99-3.30
Hg22 0.2500 0.7241 0.3054  5 Hg 3.05-3.28
Hg23 0.2500 0.9978 0.3483  5 Hg 3.06-3.30
Hg24 0.7500 0.0022 0.6517  5 Hg 3.06-3.30
K1 0.7500 0.6294 0.6817  16 Hg 3.71-4.10
K2 0.7500 0.8706 0.1817  16 Hg 3.71-4.10
K3 0.2500 0.3706 0.3183  16 Hg 3.71-4.10
K4 0.2500 0.1294 0.8183  16 Hg 3.71-4.10

No. 2
Below is a geometry-optimized KHg2 structure, with properties calculated at the GGA-PBE level.

Values from the calculation:
As for the symmetry: Imma (74). Its total energy is -0.853 eV per atom.

Cell lengths 6.8016, 6.8016, 6.8016 Å; angles 134.15, 105.48, 92.10 degrees
With the nearest neighbours (Å) after each atom.
Positions (direct):
K1 0.7009 0.9509 0.7500  12 Hg 3.69-3.99
K2 0.2991 0.0491 0.2500  12 Hg 3.69-3.99
Hg1 0.7171 0.6630 0.0541  4 Hg 3.12-3.23
Hg2 0.1089 0.6630 0.4459  4 Hg 3.12-3.23
Hg3 0.2829 0.3370 0.9459  4 Hg 3.12-3.23
Hg4 0.8911 0.3370 0.5541  4 Hg 3.12-3.23

No. 3
Below is a geometry-optimized K4HgP2 structure, with properties calculated at the GGA-PBE level.

Values from the calculation:
As for the symmetry: R-3m (166). Its total energy is -2.591 eV per atom.

Cell lengths 5.7049, 5.7049, 9.6904 Å; angles 72.88, 72.88, 60.00 degrees
With the nearest neighbours (Å) after each atom.
Positions (direct):
K1 0.2075 0.2075 0.3776  4 P 3.25-3.45
K2 0.6087 0.6087 0.1739  3 P 3.40, 3 Hg 3.66, 3 K 3.78
K3 0.7925 0.7925 0.6224  4 P 3.25-3.45
K4 0.3913 0.3913 0.8261  3 P 3.40, 3 Hg 3.66, 3 K 3.78
P1 0.9114 0.9114 0.2659  1 Hg 2.42
P2 0.0886 0.0886 0.7341  1 Hg 2.42
Hg1 0.0000 0.0000 0.0000  2 P 2.42